Material: RbV3CdCu4O13
Method: DFT, PBE with a Hubbard U
State: relaxed

As for the space group: P2_1/m (11). Its final energy is -268.06 eV/cell.

a b c (Å): 8.5044 6.2836 11.0176
angles (deg): 90.00 98.02 90.00
With the nearest neighbours (Å) after each atom.
Fractional positions:
Rb1 0.0119 0.2500 0.3933  10 O 2.91-3.24
Rb2 0.9881 0.7500 0.6067  10 O 2.91-3.24
V1 0.0344 0.7500 0.2034  4 O 1.70-1.79
V2 0.3202 0.7500 0.8823  4 O 1.71-1.80
V3 0.3700 0.7500 0.4979  3 O 1.71-1.72
V4 0.6300 0.2500 0.5021  3 O 1.71-1.72
V5 0.6798 0.2500 0.1177  4 O 1.71-1.80
V6 0.9656 0.2500 0.7966  4 O 1.70-1.79
Cd1 0.3050 0.2500 0.6419  6 O 2.21-2.48
Cd2 0.6950 0.7500 0.3581  6 O 2.21-2.48
Cu1 0.1043 0.2500 0.1053  5 O 1.93-2.06
Cu2 0.3557 0.2500 0.9394  3 O 1.92-1.98
Cu3 0.3904 0.0061 0.2260  4 O 1.95-2.06
Cu4 0.3904 0.4939 0.2260  4 O 1.95-2.06
Cu5 0.6096 0.5061 0.7740  4 O 1.95-2.06
Cu6 0.6096 0.9939 0.7740  4 O 1.95-2.06
Cu7 0.6443 0.7500 0.0606  3 O 1.92-1.98
Cu8 0.8957 0.7500 0.8947  5 O 1.93-2.06
O1 0.0507 0.2500 0.6656  1 V 1.70
O2 0.1199 0.7500 0.8848  1 V 1.71
O3 0.1228 0.2500 0.9223  1 V 1.79, 1 Cu 1.96
O4 0.1560 0.5209 0.2078  1 V 1.77
O5 0.1560 0.9791 0.2078  1 V 1.77
O6 0.2549 0.5318 0.5177  1 V 1.72
O7 0.2549 0.9682 0.5177  1 V 1.72
O8 0.3414 0.2500 0.1174  4 Cu 1.95-2.00
O9 0.3773 0.5115 0.8084  1 V 1.80
O10 0.3773 0.9885 0.8084  1 V 1.80
O11 0.4166 0.7500 0.0335  1 V 1.75, 1 Cu 1.92
O12 0.4267 0.7500 0.3342  1 V 1.93, 2 Cu 2.00
O13 0.4689 0.2500 0.3900  1 V 1.71
O14 0.5311 0.7500 0.6100  1 V 1.71
O15 0.5733 0.2500 0.6658  1 V 1.93, 2 Cu 2.00
O16 0.5834 0.2500 0.9665  1 V 1.75, 1 Cu 1.92
O17 0.6227 0.0115 0.1916  1 V 1.80
O18 0.6227 0.4885 0.1916  1 V 1.80
O19 0.6586 0.7500 0.8826  4 Cu 1.95-2.00
O20 0.7451 0.0318 0.4823  1 V 1.72
O21 0.7451 0.4682 0.4823  1 V 1.72
O22 0.8440 0.0209 0.7922  1 V 1.77
O23 0.8440 0.4791 0.7922  1 V 1.77
O24 0.8772 0.7500 0.0777  1 V 1.79, 1 Cu 1.96
O25 0.8801 0.2500 0.1152  1 V 1.71
O26 0.9493 0.7500 0.3344  1 V 1.70